{
  "formula": "Rb2LiNd2W4O16",
  "functional": "PBE+U",
  "state": "optimized geometry",
  "cell": [[-6.610, 3.900, 0.478], [0.427, -0.179, 8.079], [0.192, 6.668, 3.624]],
  "species": ["Rb", "Rb", "Li", "Nd", "Nd", "W", "W", "W", "W", "O", "O", "O", "O", "O", "O", "O", "O", "O", "O", "O", "O", "O", "O", "O", "O"],
  "fractional_positions": [[0.794, 0.200, 0.746], [0.154, 0.876, 0.241], [0.364, 0.613, 0.249], [0.250, 0.788, 0.737], [0.757, 0.209, 0.257], [0.690, 0.690, 0.794], [0.707, 0.681, 0.294], [0.312, 0.293, 0.203], [0.297, 0.311, 0.703], [0.600, 0.384, 0.457], [0.248, 0.053, 0.794], [0.049, 0.338, 0.877], [0.393, 0.070, 0.355], [0.743, 0.623, 0.566], [0.378, 0.266, 0.923], [0.629, 0.918, 0.636], [0.399, 0.621, 0.517], [0.039, 0.227, 0.302], [0.768, 0.936, 0.207], [0.372, 0.592, 0.985], [0.956, 0.654, 0.126], [0.242, 0.358, 0.454], [0.635, 0.742, 0.059], [0.958, 0.765, 0.698], [0.632, 0.417, 0.025]],
  "spacegroup": "P1",
  "ef_ev_per_atom": -2.5789,
  "vol_a3_per_atom": 14.5,
  "de_polymorph_mev_per_atom": 12,
  "m_tot_mub_per_atom": 0.04,
  "density_g_cm3": 6.691,
  "energy_corrected_mp2020_ev_per_atom": -8.3552
}